(1)
Material: Fe10O9F11
Method: DFT, GGA+U
State: relaxed

```
Fe10O9F11
1.0
3.414 3.331 0.000
-3.414 3.331 0.000
0.000 0.100 15.484
Fe F O
10 11 9
Cartesian
0.027 3.263 1.437 Fe
0.027 3.500 14.047 Fe
3.410 3.331 0.000 Fe
-0.163 3.382 4.624 Fe
-0.127 3.381 7.742 Fe
0.154 0.285 9.260 Fe
0.065 0.245 3.205 Fe
0.154 6.478 6.224 Fe
-0.163 3.380 10.860 Fe
0.065 6.517 12.279 Fe
2.076 3.373 13.755 F
-0.022 4.775 9.286 F
2.076 3.390 1.730 F
2.072 3.407 10.791 F
-2.043 3.395 1.691 F
2.072 3.356 4.694 F
2.097 3.381 7.742 F
-0.016 4.762 3.116 F
-0.022 1.988 6.199 F
-2.043 3.367 13.794 F
-0.016 2.001 12.368 F
0.007 4.557 6.190 O
-0.001 2.153 3.114 O
0.007 2.205 9.295 O
0.021 4.626 0.039 O
-2.087 3.381 7.742 O
-0.001 4.609 12.370 O
-2.115 3.359 4.665 O
0.021 2.136 15.445 O
-2.115 3.404 10.819 O
```

## Properties
* energy relative to the lowest polymorph listed for this composition: 2.4 meV per atom

(2)
Material: Li9Mn2Co5O16
Method: DFT, GGA+U
State: relaxed

```
Li9Mn2Co5O16
1.0
0.992 -5.802 -18.511
3.029 -7.646 -17.597
-3.625 -3.624 0.769
O Mn Li Co
16 2 9 5
Cartesian
2.561 -10.045 -25.987 O
-2.153 -7.032 -9.394 O
-0.493 -7.508 -14.055 O
-2.166 -2.661 -0.542 O
1.647 -7.589 -18.991 O
3.573 -12.184 -32.560 O
-0.389 -3.071 -5.332 O
-1.279 -9.495 -16.312 O
1.667 -11.968 -27.873 O
-1.254 -5.123 -7.545 O
-0.200 -11.628 -23.025 O
2.544 -14.388 -34.715 O
0.795 -5.289 -12.447 O
-3.125 -4.809 -2.739 O
0.701 -9.710 -21.161 O
0.744 -14.062 -30.042 O
4.010 -13.449 -36.087 Mn
0.185 -8.528 -17.625 Mn
3.077 -11.150 -29.367 Li
2.152 -13.125 -31.292 Li
1.185 -10.832 -24.507 Li
1.222 -15.088 -33.179 Li
1.019 -6.561 -15.514 Li
-0.751 -6.228 -10.896 Li
-0.867 -1.981 -2.066 Li
-0.665 -10.516 -19.744 Li
-2.643 -5.927 -6.069 Li
0.301 -12.807 -26.523 Co
0.106 -4.278 -8.872 Co
-1.665 -8.209 -12.858 Co
2.066 -8.857 -22.484 Co
-1.757 -3.948 -4.050 Co
```

## Properties
* energy relative to the lowest polymorph listed for this composition: 73.8 meV per atom

(3)
Material: Li3Co3P4O16
Method: DFT, GGA+U
State: relaxed

```
Li3Co3P4O16
1.0
-3.317 3.481 -1.131
-5.713 -4.184 3.877
-0.805 4.004 14.685
Co O P Li
6 32 8 6
Cartesian
-3.259 -0.090 9.281 Co
-7.924 0.644 5.124 Co
-4.515 -0.351 1.373 Co
-1.911 2.657 12.307 Co
-7.121 1.382 12.877 Co
-2.713 1.919 4.554 Co
-0.819 1.022 1.427 O
-2.345 -0.120 4.728 O
-7.490 3.421 12.702 O
-7.215 1.094 14.664 O
-4.176 -1.865 4.676 O
-2.132 4.453 13.083 O
-5.010 4.333 7.529 O
-4.657 2.378 14.590 O
-6.555 2.365 16.791 O
-8.560 1.329 11.534 O
-5.811 1.744 7.726 O
-4.024 1.557 9.704 O
-6.673 4.229 14.912 O
-9.015 2.279 16.003 O
-7.702 -1.152 4.347 O
-3.279 0.937 0.640 O
-3.161 -0.928 2.519 O
-5.886 3.246 10.078 O
-1.274 1.972 5.896 O
-4.397 5.652 9.640 O
-5.658 5.166 12.754 O
-3.949 0.055 7.352 O
-5.438 -2.351 7.790 O
-5.976 0.253 5.739 O
-8.221 -0.134 8.794 O
-1.613 3.435 8.636 O
-3.859 3.048 11.691 O
-4.824 -1.032 9.901 O
-2.620 2.207 2.767 O
-5.178 0.923 2.840 O
-4.161 2.015 5.785 O
-5.673 1.286 11.645 O
-6.980 4.666 13.486 P
-7.668 1.560 16.078 P
-4.846 2.304 10.744 P
-2.167 1.742 1.352 P
-8.793 1.161 8.215 P
-4.988 0.997 6.686 P
-1.041 2.140 9.216 P
-2.854 -1.365 3.944 P
-4.557 -0.388 11.836 Li
-4.124 4.059 13.466 Li
-5.710 -0.758 3.964 Li
-5.277 3.689 5.594 Li
-2.061 3.743 6.777 Li
0.000 0.000 0.000 Li
```

## Properties
* energy relative to the lowest polymorph listed for this composition: 1.7 meV per atom

(4)
Material: MgFe8O14F2
Method: DFT, GGA+U
State: relaxed

```
MgFe8O14F2
1.0
-4.383 4.454 -3.117
4.717 4.790 -3.117
-0.164 -4.669 -3.190
Fe O Mg F
8 14 1 2
Cartesian
-0.001 0.156 -6.119 Fe
0.184 4.742 -6.175 Fe
2.271 2.402 -7.730 Fe
2.124 2.206 -1.758 Fe
0.301 8.852 -6.345 Fe
2.319 2.290 -4.734 Fe
-1.249 3.026 -4.543 Fe
0.025 -0.176 -3.190 Fe
3.197 3.110 -3.172 O
0.766 3.589 -4.636 O
-1.491 -1.585 -3.126 O
1.370 1.331 -3.302 O
1.416 6.168 -5.901 O
-3.346 3.296 -4.787 O
-0.955 5.191 -4.620 O
-1.201 3.216 -2.692 O
0.913 -0.871 -4.749 O
-3.392 1.078 -6.775 O
1.111 3.991 -7.796 O
1.426 1.476 -6.262 O
3.810 1.052 -4.784 O
-1.067 1.061 -4.673 O
-3.169 1.258 -4.843 Mg
-1.162 3.103 -6.532 F
-1.028 0.573 -1.623 F
```

## Properties
* energy relative to the lowest polymorph listed for this composition: 120.9 meV per atom

(5)
Material: Li5Co3O8
Method: DFT, GGA+U
State: relaxed

```
Li5Co3O8
1.0
-6.167 0.531 -1.202
-5.024 -0.453 -3.784
-6.631 -7.222 -0.185
O Co Li
8 3 5
Cartesian
-7.177 -3.084 -2.003 O
-10.646 -4.059 -3.168 O
-6.613 -5.792 -0.722 O
-7.411 -0.521 -3.083 O
-3.355 -2.267 -0.622 O
-11.209 -1.351 -4.449 O
-10.412 -6.622 -2.087 O
-14.468 -4.876 -4.549 O
-1.619 -1.721 -0.061 Co
-16.204 -5.423 -5.109 Co
-8.911 -3.572 -2.585 Co
-5.324 -2.676 -1.338 Li
-9.251 -0.823 -3.783 Li
-12.499 -4.467 -3.833 Li
-5.596 0.039 -2.493 Li
-8.572 -6.320 -1.388 Li
```

## Properties
* energy relative to the lowest polymorph listed for this composition: 97.6 meV per atom

(6)
Material: NaMn4O8
Method: DFT, GGA+U
State: relaxed

```
NaMn4O8
1.0
0.240 -4.842 3.435
1.725 0.327 5.676
-4.812 -0.630 4.643
O Mn Na
8 4 1
Cartesian
-2.705 -1.333 8.711 O
-3.554 -1.523 5.871 O
-0.142 -3.811 5.043 O
0.612 -1.189 6.180 O
-3.459 -3.955 7.574 O
0.708 -3.621 7.883 O
-2.472 -3.878 10.584 O
-0.374 -1.267 3.170 O
0.000 0.000 0.000 Mn
0.120 -2.421 1.718 Mn
0.863 0.164 2.838 Mn
0.982 -2.257 4.556 Mn
-2.406 -0.315 2.321 Na
```

(7)
Material: Zr3FeF6
Method: DFT, GGA+U
State: relaxed

```
Zr3FeF6
1.0
-2.875 -5.138 0.792
-3.093 5.282 0.194
2.234 0.739 -11.880
F Zr Fe
6 3 1
Cartesian
0.375 2.221 -10.083 F
-4.181 0.683 -6.801 F
0.447 0.201 -4.093 F
-1.585 -0.677 -0.971 F
-2.149 1.561 -9.923 F
-4.110 -1.338 -0.810 F
1.117 0.370 -5.940 Zr
-1.547 2.641 0.097 Zr
-2.984 0.072 0.493 Zr
0.000 0.000 0.000 Fe
```

## Properties
* energy relative to the lowest polymorph listed for this composition: 100.3 meV per atom

(8)
Material: Li3VBO5
Method: DFT, GGA+U
State: relaxed

```
Li3VBO5
1.0
-0.739 4.008 -2.438
-3.654 1.186 3.057
10.558 7.786 9.600
B O Li V
4 20 12 4
Cartesian
0.694 3.969 1.733 B
-0.238 5.222 4.074 B
6.041 9.724 4.947 B
5.109 10.977 7.289 B
-1.113 0.735 0.737 O
4.150 6.517 4.021 O
0.064 3.749 0.382 O
0.092 4.056 4.911 O
-0.268 4.843 2.584 O
3.478 7.859 6.501 O
7.519 10.941 10.274 O
0.837 6.258 4.274 O
8.331 9.497 7.724 O
0.829 2.659 2.392 O
-1.914 2.118 3.323 O
2.255 5.160 6.989 O
4.333 7.071 9.479 O
2.939 3.757 4.547 O
2.068 4.626 1.520 O
6.289 8.211 10.457 O
6.670 6.854 8.414 O
5.517 5.701 6.565 O
6.167 8.417 5.615 O
5.429 9.814 8.134 O
8.603 7.184 9.098 Li
4.693 4.190 5.384 Li
-1.485 2.474 -0.192 Li
6.702 8.566 7.445 Li
-0.902 6.400 1.564 Li
4.017 8.526 8.193 Li
1.828 6.857 6.010 Li
-2.085 3.883 2.284 Li
3.906 5.661 8.016 Li
2.612 5.407 3.365 Li
1.783 6.440 0.816 Li
8.007 8.574 11.585 Li
6.047 10.047 9.923 V
0.466 1.046 1.443 V
1.768 3.946 5.815 V
4.746 7.147 5.550 V
```

## Properties
* piezoelectric modulus e_max: 1.27 C/m2

(9)
Material: Li4Mn3CrO8
Method: DFT, GGA+U
State: relaxed

```
Li4Mn3CrO8
1.0
-3.089 -4.142 3.171
-0.748 0.375 6.005
-5.306 1.455 2.065
Mn O Li Cr
3 8 4 1
Cartesian
-0.374 0.187 3.002 Mn
-1.544 -2.071 1.586 Mn
-4.571 -1.156 5.620 Mn
-5.094 0.226 3.849 O
-6.368 -1.928 5.430 O
-4.048 -2.538 7.392 O
-2.219 -0.503 2.635 O
-5.231 0.265 6.805 O
-2.774 -0.385 5.811 O
-6.923 -1.810 8.606 O
-3.911 -2.577 4.436 O
-4.197 -1.344 2.618 Li
-3.027 0.915 4.035 Li
-1.918 -1.884 4.588 Li
0.000 0.000 0.000 Li
-2.653 0.727 1.032 Cr
```

(10)
Material: LiFe2P3O11
Method: DFT, GGA+U
State: relaxed

```
LiFe2P3O11
1.0
-4.961 -1.473 5.056
-0.011 -7.196 0.744
3.991 -2.247 7.564
P O Fe Li
6 22 4 2
Cartesian
2.241 -5.883 9.271 P
-2.597 -5.755 3.549 P
1.775 -8.077 4.709 P
-4.749 -1.718 4.871 P
-0.377 -4.025 6.040 P
-1.240 -6.155 7.878 P
0.834 -8.854 9.939 O
-2.732 -5.923 7.518 O
1.732 -6.523 4.507 O
-0.856 -7.625 7.868 O
-1.791 -3.560 5.672 O
-3.526 -5.686 4.742 O
1.877 -6.658 7.996 O
-1.172 -6.208 3.899 O
-0.879 -5.403 9.163 O
1.314 -1.647 2.729 O
-1.751 -9.898 10.161 O
1.847 -4.422 9.230 O
-4.711 -3.271 5.072 O
-0.256 -3.865 2.067 O
2.765 -2.156 6.980 O
0.742 -8.388 5.847 O
-2.548 -4.263 2.954 O
0.180 -3.176 7.214 O
-4.277 -8.145 6.847 O
0.276 -3.651 11.301 O
0.590 -4.118 4.873 O
-0.440 -5.517 6.638 O
-3.596 -4.335 6.287 Fe
0.610 -5.459 3.292 Fe
1.029 -8.486 7.790 Fe
-0.008 -3.548 9.362 Fe
2.870 -5.159 6.011 Li
-1.526 -8.445 5.328 Li
```

(11)
Material: Mn2Sb2O7
Method: DFT, GGA+U
State: relaxed

```
Mn2Sb2O7
1.0
-5.149 0.000 -5.149
5.149 -5.149 0.000
-5.149 -5.149 0.000
O Mn Sb
14 4 4
Cartesian
-1.287 -6.436 -1.287 O
-3.862 -3.862 -3.862 O
-3.862 -6.923 -3.862 O
-0.800 -3.862 -3.862 O
-3.862 -3.862 -0.800 O
-3.862 -0.800 -3.862 O
-1.287 -3.374 -1.287 O
-1.287 -9.497 -1.287 O
-1.287 -6.436 -4.349 O
-6.436 -6.436 -3.374 O
1.774 -6.436 -1.287 O
1.287 -3.862 -1.774 O
-4.349 -6.436 -1.287 O
-6.923 -3.862 -3.862 O
-5.149 -2.574 -2.574 Mn
-2.574 -5.149 -2.574 Mn
0.000 -5.149 0.000 Mn
2.574 -2.574 0.000 Mn
-2.574 0.000 -2.574 Sb
0.000 0.000 0.000 Sb
-2.574 -2.574 0.000 Sb
0.000 -2.574 -2.574 Sb
```

## Properties
* energy relative to the lowest polymorph listed for this composition: 11.9 meV per atom

(12)
Material: CaEuFeSbO6
Method: DFT, GGA+U
State: relaxed

```
CaEuFeSbO6
1.0
0.000 -3.996 -3.996
3.996 0.000 -3.996
3.996 -3.996 0.000
O Ca Sb Fe Eu
6 1 1 1 1
Cartesian
3.996 -2.005 -3.996 O
3.996 -3.996 -2.005 O
3.996 -5.986 -3.996 O
5.986 -3.996 -3.996 O
3.996 -3.996 -5.986 O
2.005 -3.996 -3.996 O
1.998 -1.998 -1.998 Ca
3.996 -3.996 -3.996 Sb
0.000 0.000 0.000 Fe
5.993 -5.993 -5.993 Eu
```

(13)
Material: Li9Mn2Co5O16
Method: DFT, GGA+U
State: relaxed

```
Li9Mn2Co5O16
1.0
5.009 0.068 -0.591
0.115 5.599 1.620
-0.371 0.092 10.200
O Mn Li Co
16 2 9 5
Cartesian
3.033 3.207 4.453 O
0.502 1.773 4.323 O
2.766 3.225 9.601 O
1.777 5.360 7.588 O
2.879 0.433 8.806 O
4.251 3.984 6.905 O
0.475 4.683 10.325 O
1.986 2.515 1.622 O
2.973 0.395 3.644 O
0.433 1.709 9.463 O
4.338 4.046 1.763 O
1.721 2.551 6.771 O
1.874 5.334 2.425 O
0.552 4.567 5.159 O
4.200 1.194 6.070 O
4.259 1.072 0.904 O
2.534 1.479 0.123 Mn
0.114 5.570 1.611 Mn
0.058 2.816 0.814 Li
3.545 2.254 7.824 Li
1.035 3.583 8.584 Li
0.981 0.766 7.712 Li
1.212 3.510 3.380 Li
3.770 4.960 3.507 Li
3.718 2.209 2.655 Li
1.152 0.775 2.615 Li
3.596 4.975 8.637 Li
4.936 5.712 6.131 Co
2.590 4.225 0.917 Co
-0.127 2.846 5.907 Co
2.348 1.483 5.196 Co
2.404 4.274 6.032 Co
```

## Properties
* energy relative to the lowest polymorph listed for this composition: 0.3 meV per atom

E_tot list, top to bottom, in eV per cell: -178.977, -184.987, -341.448, -151.751, -86.226, -90.264, -59.087, -264.465, -107.104, -236.951, -149.077, -72.700, -187.339
Energy of formation from the pure elements list, top to bottom, in meV/atom: -2084, -1790, -2260, -1515, -1636, -1914, -1851, -2502, -2203, -2413, -1951, -2453, -1864
Calculated volume list, top to bottom, in Å³/atom: 11.7, 9.1, 10.9, 10.7, 8.8, 13.4, 35.6, 9.5, 9.6, 11.8, 12.4, 12.8, 8.9